(1)
DFT (PBE with a Hubbard U) results for a relaxed Rb4BaV6O18 crystal.

Structure (POSCAR):
```
Rb4BaV6O18
1.0
7.0091 4.0467 6.6611
-7.0091 4.0467 6.6611
0.0000 -8.0934 6.6611
Rb Ba V O
8 2 12 36
direct
0.0000 0.0000 0.0000
0.0856 0.9158 0.4973
0.4158 0.5856 0.9973
0.4973 0.0856 0.9158
0.5000 0.5000 0.5000
0.5856 0.9973 0.4158
0.9158 0.4973 0.0856
0.9973 0.4158 0.5856
0.2678 0.2678 0.2678
0.7678 0.7678 0.7678
0.1027 0.6694 0.7994
0.1694 0.6027 0.2994
0.2062 0.3340 0.8878
0.2994 0.1694 0.6027
0.3340 0.8878 0.2062
0.3878 0.8340 0.7062
0.6027 0.2994 0.1694
0.6694 0.7994 0.1027
0.7062 0.3878 0.8340
0.7994 0.1027 0.6694
0.8340 0.7062 0.3878
0.8878 0.2062 0.3340
0.0047 0.6598 0.3491
0.0294 0.6750 0.6634
0.0757 0.2653 0.9546
0.1598 0.5047 0.8491
0.1634 0.1750 0.5294
0.1750 0.5294 0.1634
0.2275 0.4916 0.4119
0.2398 0.7646 0.7728
0.2646 0.7398 0.2728
0.2653 0.9546 0.0757
0.2728 0.2646 0.7398
0.3142 0.9938 0.3191
0.3191 0.3142 0.9938
0.3491 0.0047 0.6598
0.4119 0.2275 0.4916
0.4546 0.7653 0.5757
0.4916 0.4119 0.2275
0.4938 0.8142 0.8191
0.5047 0.8491 0.1598
0.5294 0.1634 0.1750
0.5757 0.4546 0.7653
0.6598 0.3491 0.0047
0.6634 0.0294 0.6750
0.6750 0.6634 0.0294
0.7275 0.9119 0.9916
0.7398 0.2728 0.2646
0.7653 0.5757 0.4546
0.7646 0.7728 0.2398
0.7728 0.2398 0.7646
0.8142 0.8191 0.4938
0.8191 0.4938 0.8142
0.8491 0.1598 0.5047
0.9119 0.9916 0.7275
0.9546 0.0757 0.2653
0.9916 0.7275 0.9119
0.9938 0.3191 0.3142
```

Results
calculated total energy	-6.89	eV per atom
magnetic moment	0.00	μB per formula unit
formation enthalpy at 0 K	-2512	meV/atom

(2)
DFT (PBE with a Hubbard U) results for a relaxed Li9Mn2Co5O16 crystal.

Structure (POSCAR):
```
Li9Mn2Co5O16
1.0
8.3717 0.0000 0.0000
0.0000 2.9195 0.0000
-0.0613 0.0000 11.9157
Li Mn Co O
9 2 5 16
direct
0.0000 0.0000 0.0000
0.0000 0.0000 0.5000
0.2472 0.5000 0.1342
0.2614 0.5000 0.6120
0.4970 0.0000 0.2575
0.5000 0.0000 0.5000
0.5030 0.0000 0.7425
0.7386 0.5000 0.3880
0.7528 0.5000 0.8658
0.2482 0.5000 0.8754
0.7518 0.5000 0.1246
0.0072 0.0000 0.2573
0.2762 0.5000 0.3799
0.5000 0.0000 0.0000
0.7238 0.5000 0.6201
0.9928 0.0000 0.7427
0.0023 0.5000 0.6368
0.0153 0.5000 0.8661
0.2429 0.0000 0.2543
0.2427 0.0000 0.9866
0.2470 0.0000 0.4888
0.2512 0.0000 0.7676
0.4806 0.5000 0.8851
0.4898 0.5000 0.3713
0.5102 0.5000 0.6287
0.5194 0.5000 0.1149
0.7488 0.0000 0.2324
0.7530 0.0000 0.5112
0.7573 0.0000 0.0134
0.7571 0.0000 0.7457
0.9847 0.5000 0.1339
0.9977 0.5000 0.3632
```

Results
calculated total energy	-5.78	eV per atom
magnetic moment	14.00	μB per formula unit
energy relative to the lowest polymorph listed for this composition	74	meV/atom
formation enthalpy at 0 K	-1790	meV/atom

(3)
DFT (PBE with a Hubbard U) results for a relaxed Mn2OF3 crystal.

Structure (POSCAR):
```
Mn2OF3
1.0
3.5001 -3.3766 0.0000
3.5001 3.3766 0.0000
0.0000 0.0000 6.3364
Mn O F
4 2 6
direct
0.0000 0.0000 0.0000
0.0000 0.0000 0.5000
0.4644 0.5356 0.7500
0.5356 0.4644 0.2500
0.1653 0.8347 0.7500
0.8347 0.1653 0.2500
0.2181 0.7819 0.2500
0.2962 0.2962 0.0000
0.2962 0.2962 0.5000
0.7038 0.7038 0.0000
0.7038 0.7038 0.5000
0.7819 0.2181 0.7500
```

Results
calculated total energy	-6.57	eV per atom
magnetic moment	9.00	μB per formula unit
energy relative to the lowest polymorph listed for this composition	2	meV/atom
formation enthalpy at 0 K	-2637	meV/atom

(4)
DFT (PBE with a Hubbard U) results for a relaxed V5FeP6O24 crystal.

Structure (POSCAR):
```
V5FeP6O24
1.0
4.3129 2.4901 6.9846
-4.3129 2.4901 6.9846
0.0000 -4.9801 6.9846
V Fe P O
5 1 6 24
direct
0.0000 0.0000 0.0000
0.1439 0.1439 0.1439
0.2880 0.2880 0.2880
0.5001 0.5001 0.5001
0.6442 0.6442 0.6442
0.7889 0.7889 0.7889
0.1000 0.6864 0.3936
0.1869 0.6006 0.8934
0.3936 0.1000 0.6864
0.6006 0.8934 0.1869
0.6864 0.3936 0.1000
0.8934 0.1869 0.6006
0.0308 0.6357 0.8324
0.0574 0.2059 0.4043
0.0838 0.8831 0.2297
0.1427 0.5288 0.3267
0.1485 0.7601 0.9553
0.2059 0.4043 0.0574
0.2297 0.0838 0.8831
0.2592 0.6490 0.4542
0.3267 0.1427 0.5288
0.3845 0.5842 0.7314
0.4043 0.0574 0.2059
0.4542 0.2592 0.6490
0.5288 0.3267 0.1427
0.5543 0.9051 0.7002
0.5842 0.7314 0.3845
0.6357 0.8324 0.0308
0.6490 0.4542 0.2592
0.7002 0.5543 0.9051
0.7314 0.3845 0.5842
0.7601 0.9553 0.1485
0.8324 0.0308 0.6357
0.8831 0.2297 0.0838
0.9051 0.7002 0.5543
0.9553 0.1485 0.7601
```

Results
calculated total energy	-7.51	eV per atom
magnetic moment	15.00	μB per formula unit
formation enthalpy at 0 K	-2574	meV/atom

(5)
DFT (PBE with a Hubbard U) results for a relaxed MoO3 crystal.

Structure (POSCAR):
```
MoO3
1.0
3.5333 0.0000 0.0000
-1.7666 3.0599 0.0000
0.0000 0.0000 10.7890
Mo O
2 6
direct
0.3333 0.6667 0.2500
0.6667 0.3333 0.7500
0.0000 0.0000 0.2500
0.0000 0.0000 0.7500
0.3333 0.6667 0.0848
0.3333 0.6667 0.4152
0.6667 0.3333 0.5848
0.6667 0.3333 0.9152
```

Results
calculated total energy	-6.07	eV per atom
magnetic moment	0.62	μB per formula unit
formation enthalpy at 0 K	-960	meV/atom

(6)
DFT (PBE with a Hubbard U) results for a relaxed CrF3 crystal.

Structure (POSCAR):
```
CrF3
1.0
3.3746 -4.7790 0.0000
3.3746 4.7790 0.0000
-0.5506 0.0000 5.4128
Cr F
2 6
direct
0.0000 0.0000 0.0000
0.0000 0.0000 0.5000
0.1081 0.2597 0.7718
0.1486 0.8514 0.7500
0.2597 0.1081 0.2718
0.7403 0.8919 0.7282
0.8514 0.1486 0.2500
0.8919 0.7403 0.2282
```

Results
calculated total energy	-5.87	eV per atom
magnetic moment	3.00	μB per formula unit
formation enthalpy at 0 K	-2865	meV/atom

(7)
DFT (PBE with a Hubbard U) results for a relaxed Li2V3O6 crystal.

Structure (POSCAR):
```
Li2V3O6
1.0
2.9877 0.0000 0.0000
-1.4408 7.7551 0.0000
-1.4463 -0.7153 9.8750
Li V O
4 6 12
direct
0.0000 0.0000 0.0000
0.1821 0.8533 0.5036
0.4951 0.4894 0.4995
0.6823 0.3619 0.0033
0.0901 0.4277 0.7516
0.2634 0.2618 0.2607
0.4155 0.0924 0.7370
0.5970 0.9279 0.2520
0.7640 0.7607 0.7668
0.9091 0.5906 0.2421
0.0389 0.2248 0.8552
0.1397 0.6287 0.6476
0.2171 0.0315 0.3581
0.2982 0.4632 0.1383
0.3784 0.8954 0.8648
0.4843 0.3183 0.6447
0.5292 0.7169 0.3567
0.6434 0.1366 0.1450
0.6951 0.5357 0.8590
0.8007 0.9569 0.6389
0.8775 0.3894 0.3646
0.9697 0.8228 0.1467
```

Results
calculated total energy	-7.15	eV per atom
magnetic moment	5.00	μB per formula unit
energy relative to the lowest polymorph listed for this composition	9	meV/atom
formation enthalpy at 0 K	-2462	meV/atom

(8)
DFT (PBE with a Hubbard U) results for a relaxed Li5Fe8B8O24 crystal.

Structure (POSCAR):
```
Li5Fe8B8O24
1.0
5.2531 0.0000 0.0000
0.0472 9.0577 0.0000
2.5204 4.4516 10.1803
Li Fe B O
5 8 8 24
direct
0.0000 0.0000 0.0000
0.0296 0.0329 0.2575
0.2613 0.2334 0.5185
0.5239 0.5290 0.2592
0.7991 0.7632 0.7661
0.0281 0.3462 0.9764
0.0436 0.7116 0.2277
0.2778 0.9138 0.4805
0.3246 0.6127 0.7318
0.5176 0.8247 0.9825
0.5437 0.2189 0.2208
0.7711 0.4266 0.4862
0.7975 0.1179 0.7361
0.0247 0.6738 0.9748
0.0484 0.3778 0.2310
0.2693 0.5856 0.4746
0.3096 0.9590 0.7198
0.5252 0.1671 0.9803
0.5586 0.8763 0.2294
0.7773 0.0944 0.4738
0.8214 0.4638 0.7295
0.0353 0.5997 0.4353
0.0388 0.4283 0.7845
0.1269 0.7798 0.0187
0.1752 0.5574 0.9484
0.1818 0.0918 0.7143
0.2030 0.8471 0.6792
0.2594 0.1740 0.9868
0.3022 0.3784 0.2409
0.3509 0.6930 0.5189
0.3965 0.9752 0.2776
0.4187 0.4615 0.4657
0.4488 0.7607 0.1991
0.5259 0.0986 0.4504
0.5429 0.9297 0.7596
0.6569 0.2652 0.0205
0.6655 0.0573 0.9416
0.6959 0.5957 0.7247
0.7426 0.3600 0.6769
0.7806 0.6854 0.9537
0.8265 0.8993 0.2094
0.8650 0.2078 0.5140
0.8796 0.4790 0.2713
0.9429 0.9855 0.4527
0.9486 0.2730 0.1848
```

Results
calculated total energy	-7.06	eV per atom
magnetic moment	35.00	μB per formula unit
energy relative to the lowest polymorph listed for this composition	8	meV/atom
formation enthalpy at 0 K	-2283	meV/atom

(9)
DFT (PBE with a Hubbard U) results for a relaxed MnSnF6 crystal.

Structure (POSCAR):
```
MnSnF6
1.0
2.7357 1.5794 4.8121
-2.7357 1.5794 4.8121
0.0000 -3.1589 4.8121
Mn Sn F
1 1 6
direct
0.0000 0.0000 0.0000
0.5000 0.5000 0.5000
0.1505 0.7418 0.3670
0.2582 0.6330 0.8495
0.3670 0.1505 0.7418
0.6330 0.8495 0.2582
0.7418 0.3670 0.1505
0.8495 0.2582 0.6330
```

Results
calculated total energy	-5.44	eV per atom
formation enthalpy at 0 K	-2908	meV/atom

(10)
DFT (PBE with a Hubbard U) results for a relaxed Fe10O9F11 crystal.

Structure (POSCAR):
```
Fe10O9F11
1.0
4.7609 0.0000 0.0000
0.0000 15.4207 0.0000
-0.2492 0.0000 4.7684
Fe O F
10 9 11
direct
0.0000 0.0000 0.0000
0.0057 0.1885 0.0138
0.0057 0.8115 0.0138
0.0465 0.3967 0.9918
0.0465 0.6033 0.9918
0.4561 0.5000 0.5084
0.4656 0.3029 0.4864
0.4656 0.6971 0.4864
0.5039 0.0966 0.5041
0.5039 0.9034 0.5041
0.1868 0.2966 0.1854
0.1868 0.7034 0.1854
0.1905 0.5000 0.1845
0.2025 0.0975 0.2050
0.2025 0.9025 0.2050
0.3044 0.3986 0.6873
0.3044 0.6014 0.6873
0.8016 0.1000 0.8047
0.8016 0.9000 0.8047
0.3001 0.0000 0.7048
0.3016 0.2034 0.6940
0.3016 0.7966 0.6940
0.6894 0.4001 0.3040
0.6894 0.5999 0.3040
0.6904 0.2049 0.3072
0.6904 0.7951 0.3072
0.7044 0.0000 0.3013
0.7931 0.2984 0.7917
0.7931 0.7016 0.7917
0.8016 0.5000 0.7956
```

Results
calculated total energy	-5.94	eV per atom
magnetic moment	49.00	μB per formula unit
energy relative to the lowest polymorph listed for this composition	23	meV/atom
formation enthalpy at 0 K	-2063	meV/atom

(11)
DFT (PBE with a Hubbard U) results for a relaxed Ba2SmWO6 crystal.

Structure (POSCAR):
```
Ba2SmWO6
1.0
8.6258 0.0000 0.0000
0.0000 8.6258 0.0000
0.0000 0.0000 8.6258
Ba Sm W O
8 4 4 24
direct
0.2500 0.2500 0.2500
0.2500 0.2500 0.7500
0.2500 0.7500 0.2500
0.2500 0.7500 0.7500
0.7500 0.2500 0.2500
0.7500 0.2500 0.7500
0.7500 0.7500 0.2500
0.7500 0.7500 0.7500
0.0000 0.0000 0.0000
0.0000 0.5000 0.5000
0.5000 0.0000 0.5000
0.5000 0.5000 0.0000
0.0000 0.0000 0.5000
0.0000 0.5000 0.0000
0.5000 0.0000 0.0000
0.5000 0.5000 0.5000
0.0132 0.2332 0.5169
0.0132 0.2668 0.9831
0.0169 0.5132 0.7668
0.0169 0.9868 0.7332
0.2332 0.5169 0.0132
0.2332 0.9831 0.4868
0.2668 0.5169 0.4868
0.2668 0.9831 0.0132
0.4831 0.5132 0.7332
0.4831 0.9868 0.7668
0.4868 0.2332 0.9831
0.4868 0.2668 0.5169
0.5132 0.7332 0.4831
0.5132 0.7668 0.0169
0.5169 0.0132 0.2332
0.5169 0.4868 0.2668
0.7332 0.0169 0.9868
0.7332 0.4831 0.5132
0.7668 0.0169 0.5132
0.7668 0.4831 0.9868
0.9831 0.0132 0.2668
0.9831 0.4868 0.2332
0.9868 0.7332 0.0169
0.9868 0.7668 0.4831
```

Results
calculated total energy	-7.35	eV per atom
magnetic moment	1.00	μB per formula unit
formation enthalpy at 0 K	-3086	meV/atom

(12)
DFT (PBE with a Hubbard U) results for a relaxed LiLaW2O8 crystal.

Structure (POSCAR):
```
LiLaW2O8
1.0
-2.6905 2.6905 5.8051
2.6905 -2.6905 5.8051
2.6905 2.6905 -5.8051
Li La W O
1 1 2 8
direct
0.0000 0.0000 0.0000
0.7500 0.2500 0.5000
0.2500 0.7500 0.5000
0.5000 0.5000 0.0000
0.0147 0.9102 0.5927
0.0898 0.6825 0.1044
0.1753 0.2606 0.6091
0.3175 0.4219 0.4073
0.4338 0.8247 0.0853
0.5781 0.9853 0.8956
0.6514 0.5662 0.3909
0.7394 0.3486 0.9147
```

Results
calculated total energy	-7.43	eV per atom
magnetic moment	0.00	μB per formula unit
energy relative to the lowest polymorph listed for this composition	71	meV/atom
formation enthalpy at 0 K	-2598	meV/atom